Entry 1:
Here is crystalline CsMnTe2 at its relaxed geometry from the Materials Project database. Energies are from PBE-GGA.

a b c (Å): 8.171 8.171 8.171
angles (deg): 148.01 148.01 45.87
Positions (direct):
Te 0.658 0.658 0.000
Te 0.342 0.342 0.000
Mn 0.250 0.750 0.500
Cs 0.000 0.000 0.000

Computed properties:
* total energy after the MP2020 corrections: -4.767 eV per atom


Entry 2:
Here is crystalline PmPbAu2 at its relaxed geometry from the Materials Project database. Energies are from PBE-GGA.

a b c (Å): 5.170 5.170 5.170
angles (deg): 60.00 60.00 60.00
Positions (direct):
Pm 0.500 0.500 0.500
Au 0.250 0.250 0.250
Au 0.750 0.750 0.750
Pb 0.000 0.000 0.000

Computed properties:
* final energy: -17.5 eV/cell


Entry 3:
Here is crystalline UB12 at its relaxed geometry from the Materials Project database. Energies are from PBE-GGA.

a b c (Å): 5.267 5.267 5.267
angles (deg): 60.00 60.00 60.00
Positions (direct):
B 0.500 0.839 0.161
B 0.500 0.500 0.161
B 0.839 0.161 0.500
B 0.161 0.500 0.839
B 0.839 0.500 0.161
B 0.161 0.839 0.500
B 0.500 0.161 0.500
B 0.500 0.839 0.500
B 0.500 0.161 0.839
B 0.161 0.500 0.500
B 0.839 0.500 0.500
B 0.500 0.500 0.839
U 0.000 0.000 0.000

Computed properties:
* final energy: -95.0 eV/cell


Entry 4:
Here is crystalline Sr3AsP at its relaxed geometry from the Materials Project database. Energies are from PBE-GGA.

a b c (Å): 5.700 5.700 5.700
angles (deg): 90.00 90.00 90.00
Positions (direct):
Sr 0.000 0.500 0.500
Sr 0.500 0.500 0.000
Sr 0.500 0.000 0.500
P 0.500 0.500 0.500
As 0.000 0.000 0.000

Computed properties:
* relative energy among the computed polymorphs: 0.0 meV per atom


Entry 5:
Here is crystalline Lu5Ge4 at its relaxed geometry from the Materials Project database. Energies are from PBE-GGA.

a b c (Å): 7.486 7.553 14.387
angles (deg): 90.00 90.00 90.00
Positions (direct):
Ge 0.917 0.120 0.750
Ge 0.417 0.380 0.750
Ge 0.161 0.641 0.750
Ge 0.839 0.359 0.250
Ge 0.339 0.141 0.250
Ge 0.781 0.468 0.956
Ge 0.583 0.620 0.250
Ge 0.083 0.880 0.250
Ge 0.661 0.859 0.750
Ge 0.281 0.032 0.956
Ge 0.219 0.532 0.456
Ge 0.219 0.532 0.044
Ge 0.719 0.968 0.044
Ge 0.719 0.968 0.456
Ge 0.281 0.032 0.544
Ge 0.781 0.468 0.544
Lu 0.970 0.824 0.600
Lu 0.470 0.676 0.900
Lu 0.715 0.999 0.250
Lu 0.120 0.339 0.882
Lu 0.285 0.001 0.750
Lu 0.970 0.824 0.900
Lu 0.215 0.501 0.250
Lu 0.030 0.176 0.100
Lu 0.620 0.161 0.618
Lu 0.530 0.324 0.400
Lu 0.380 0.839 0.118
Lu 0.880 0.661 0.118
Lu 0.620 0.161 0.882
Lu 0.880 0.661 0.382
Lu 0.380 0.839 0.382
Lu 0.120 0.339 0.618
Lu 0.470 0.676 0.600
Lu 0.030 0.176 0.400
Lu 0.530 0.324 0.100
Lu 0.785 0.499 0.750

Computed properties:
* final energy: -194.1 eV/cell


Entry 6:
Here is crystalline BaP2H2O8 at its relaxed geometry from the Materials Project database. Energies are from PBE-GGA.

a b c (Å): 7.745 8.774 10.657
angles (deg): 90.00 90.00 90.00
Positions (direct):
Ba 0.750 0.599 0.750
Ba 0.750 0.099 0.750
Ba 0.250 0.901 0.250
Ba 0.250 0.401 0.250
O 0.086 0.142 0.360
O 0.595 0.867 0.354
O 0.732 0.111 0.067
O 0.905 0.367 0.354
O 0.232 0.889 0.567
O 0.457 0.757 0.070
O 0.586 0.858 0.860
O 0.457 0.257 0.430
O 0.232 0.389 0.933
O 0.768 0.111 0.433
O 0.543 0.743 0.570
O 0.043 0.757 0.430
O 0.043 0.257 0.070
O 0.095 0.133 0.854
O 0.405 0.133 0.646
O 0.768 0.611 0.067
O 0.957 0.743 0.930
O 0.405 0.633 0.854
O 0.086 0.642 0.140
O 0.095 0.633 0.646
O 0.414 0.642 0.360
O 0.914 0.358 0.860
O 0.957 0.243 0.570
O 0.586 0.358 0.640
O 0.414 0.142 0.140
O 0.732 0.611 0.433
O 0.914 0.858 0.640
O 0.268 0.389 0.567
O 0.595 0.367 0.146
O 0.905 0.867 0.146
O 0.543 0.243 0.930
O 0.268 0.889 0.933
H 0.325 0.555 0.889
H 0.675 0.445 0.111
H 0.825 0.445 0.389
H 0.175 0.055 0.889
H 0.675 0.945 0.389
H 0.175 0.555 0.611
H 0.825 0.945 0.111
H 0.325 0.055 0.611
P 0.432 0.290 0.572
P 0.568 0.210 0.072
P 0.068 0.290 0.928
P 0.568 0.710 0.428
P 0.932 0.710 0.072
P 0.068 0.790 0.572
P 0.432 0.790 0.928
P 0.932 0.210 0.428

Computed properties:
* total energy after the MP2020 corrections: -6.808 eV per atom


Entry 7:
Here is crystalline Ca5Si2HO9F at its relaxed geometry from the Materials Project database. Energies are from PBE-GGA.

a b c (Å): 8.871 7.145 7.468
angles (deg): 70.78 90.00 90.00
Positions (direct):
O 0.899 0.061 0.971
O 0.116 0.458 0.818
O 0.199 0.571 0.087
O 0.616 0.542 0.182
O 0.052 0.052 0.471
O 0.549 0.866 0.368
O 0.239 0.007 0.002
O 0.874 0.601 0.131
O 0.739 0.993 0.998
O 0.785 0.227 0.337
O 0.285 0.773 0.663
O 0.552 0.948 0.529
O 0.699 0.429 0.913
O 0.399 0.939 0.029
O 0.049 0.134 0.632
O 0.339 0.260 0.236
O 0.839 0.740 0.764
O 0.374 0.399 0.869
Si 0.732 0.634 0.966
Si 0.760 0.460 0.331
Si 0.232 0.366 0.034
Si 0.260 0.540 0.669
Ca 0.860 0.924 0.289
Ca 0.360 0.076 0.711
Ca 0.063 0.387 0.342
Ca 0.895 0.399 0.752
Ca 0.563 0.613 0.658
Ca 0.752 0.051 0.664
Ca 0.395 0.601 0.248
Ca 0.563 0.187 0.115
Ca 0.252 0.949 0.336
Ca 0.063 0.813 0.885
F 0.058 0.707 0.384
F 0.558 0.293 0.616
H 0.096 0.231 0.118
H 0.596 0.769 0.882

Computed properties:
* total energy after the MP2020 corrections: -6.378 eV per atom
* relative energy among the computed polymorphs: 77.6 meV per atom


Entry 8:
Here is crystalline ReP3 at its relaxed geometry from the Materials Project database. Energies are from PBE-GGA.

a b c (Å): 4.252 4.252 4.252
angles (deg): 60.00 60.00 60.00
Positions (direct):
P 0.750 0.750 0.750
P 0.250 0.250 0.250
P 0.500 0.500 0.500
Re 0.000 0.000 0.000

Computed properties:
* relative energy among the computed polymorphs: 813.1 meV per atom